No. 1
{"formula": "LuSbRu2", "functional": "PBE", "state": "relaxed", "formation_enthalpy_0k_mev_per_atom": -520, "spacegroup": "Fm-3m, No. 225", "volume_a3_per_cell": 69, "e_tot_ev_per_atom": -7.320, "cell": [[-1.389, -4.382, -0.179], [-4.471, -1.012, 0.379], [-2.331, -1.526, -3.660]], "species": ["Lu", "Sb", "Ru", "Ru"], "fractional_positions": [[0.500, 0.500, 0.500], [0.000, 0.000, 0.000], [0.250, 0.250, 0.250], [0.750, 0.750, 0.750]]}

No. 2
{"formula": "LuScRu2", "functional": "PBE", "state": "relaxed", "formation_enthalpy_0k_mev_per_atom": -500, "spacegroup": "Fm-3m, No. 225", "volume_a3_per_cell": 70, "e_tot_ev_per_atom": -7.850, "cell": [[-0.911, 2.426, 3.838], [-4.204, 1.833, 0.637], [-2.823, -1.747, 3.228]], "species": ["Lu", "Sc", "Ru", "Ru"], "fractional_positions": [[0.500, 0.500, 0.500], [0.000, 0.000, 0.000], [0.250, 0.250, 0.250], [0.750, 0.750, 0.750]]}

No. 3
{"formula": "Lu2Si5Ru3", "functional": "PBE", "state": "relaxed", "formation_enthalpy_0k_mev_per_atom": -828, "spacegroup": "P4/mnc, No. 128", "volume_a3_per_cell": 634, "e_tot_ev_per_atom": -7.227, "cell": [[-3.119, -5.925, 8.318], [8.420, 3.429, 5.600], [-3.009, 4.267, 1.911]], "species": ["Lu", "Lu", "Lu", "Lu", "Lu", "Lu", "Lu", "Lu", "Si", "Si", "Si", "Si", "Si", "Si", "Si", "Si", "Si", "Si", "Si", "Si", "Si", "Si", "Si", "Si", "Si", "Si", "Si", "Si", "Ru", "Ru", "Ru", "Ru", "Ru", "Ru", "Ru", "Ru", "Ru", "Ru", "Ru", "Ru"], "fractional_positions": [[0.929, 0.237, 0.000], [0.737, 0.429, 0.500], [0.763, 0.929, 0.000], [0.429, 0.263, 0.500], [0.237, 0.071, 0.000], [0.571, 0.737, 0.500], [0.263, 0.571, 0.500], [0.071, 0.763, 0.000], [0.675, 0.175, 0.750], [0.175, 0.325, 0.250], [0.325, 0.825, 0.250], [0.819, 0.474, 0.000], [0.319, 0.026, 0.500], [0.500, 0.500, 0.744], [0.526, 0.819, 0.000], [0.500, 0.500, 0.256], [0.681, 0.974, 0.500], [0.175, 0.325, 0.750], [0.974, 0.319, 0.500], [0.181, 0.526, 0.000], [0.474, 0.181, 0.000], [0.000, 0.000, 0.244], [0.825, 0.675, 0.250], [0.026, 0.681, 0.500], [0.825, 0.675, 0.750], [0.000, 0.000, 0.756], [0.325, 0.825, 0.750], [0.675, 0.175, 0.250], [0.625, 0.356, 0.000], [0.125, 0.144, 0.500], [0.856, 0.125, 0.500], [0.375, 0.644, 0.000], [0.500, 0.000, 0.750], [0.644, 0.625, 0.000], [0.500, 0.000, 0.250], [0.356, 0.375, 0.000], [0.875, 0.856, 0.500], [0.000, 0.500, 0.750], [0.144, 0.875, 0.500], [0.000, 0.500, 0.250]]}

No. 4
{"formula": "SmLuRu2", "functional": "PBE", "state": "relaxed", "formation_enthalpy_0k_mev_per_atom": -302, "spacegroup": "Fm-3m, No. 225", "volume_a3_per_cell": 78, "e_tot_ev_per_atom": -7.249, "cell": [[0.000, 3.392, 3.392], [3.392, 0.000, 3.392], [3.392, 3.392, 0.000]], "species": ["Sm", "Lu", "Ru", "Ru"], "fractional_positions": [[0.000, 0.000, 0.000], [0.500, 0.500, 0.500], [0.250, 0.250, 0.250], [0.750, 0.750, 0.750]]}

No. 5
{"formula": "LuSnRu2", "functional": "PBE", "state": "relaxed", "formation_enthalpy_0k_mev_per_atom": -440, "spacegroup": "Fm-3m, No. 225", "volume_a3_per_cell": 70, "e_tot_ev_per_atom": -7.210, "cell": [[-0.327, -1.943, 4.190], [1.693, 2.195, 3.708], [-2.884, 1.776, 3.156]], "species": ["Lu", "Sn", "Ru", "Ru"], "fractional_positions": [[0.500, 0.500, 0.500], [0.000, 0.000, 0.000], [0.250, 0.250, 0.250], [0.750, 0.750, 0.750]]}

No. 6
{"formula": "LuTaRu2", "functional": "PBE", "state": "relaxed", "formation_enthalpy_0k_mev_per_atom": -512, "spacegroup": "Fm-3m, No. 225", "volume_a3_per_cell": 68, "e_tot_ev_per_atom": -9.244, "cell": [[0.000, 3.241, 3.241], [3.241, 0.000, 3.241], [3.241, 3.241, 0.000]], "species": ["Lu", "Ta", "Ru", "Ru"], "fractional_positions": [[0.500, 0.500, 0.500], [0.000, 0.000, 0.000], [0.250, 0.250, 0.250], [0.750, 0.750, 0.750]]}

No. 7
{"formula": "Lu7Te2Ru2", "functional": "PBE", "state": "relaxed", "formation_enthalpy_0k_mev_per_atom": -721, "spacegroup": "Imm2, No. 44", "volume_a3_per_cell": 275, "e_tot_ev_per_atom": -5.856, "cell": [[-1.940, 4.601, 7.718], [1.940, -4.601, 7.718], [1.940, 4.601, -7.718]], "species": ["Lu", "Lu", "Lu", "Lu", "Lu", "Lu", "Lu", "Te", "Te", "Ru", "Ru"], "fractional_positions": [[0.617, 0.352, 0.265], [0.913, 0.648, 0.265], [0.998, 0.000, 0.998], [0.551, 0.134, 0.416], [0.282, 0.866, 0.416], [0.940, 0.314, 0.626], [0.312, 0.686, 0.626], [0.263, 0.500, 0.763], [0.661, 0.000, 0.661], [0.165, 0.237, 0.928], [0.691, 0.763, 0.928]]}

No. 8
{"formula": "YLuRu2", "functional": "PBE", "state": "relaxed", "formation_enthalpy_0k_mev_per_atom": -365, "spacegroup": "Fm-3m, No. 225", "volume_a3_per_cell": 77, "e_tot_ev_per_atom": -7.749, "cell": [[0.000, 3.374, 3.374], [3.374, 0.000, 3.374], [3.374, 3.374, 0.000]], "species": ["Y", "Lu", "Ru", "Ru"], "fractional_positions": [[0.000, 0.000, 0.000], [0.500, 0.500, 0.500], [0.250, 0.250, 0.250], [0.750, 0.750, 0.750]]}